# K2NaH5C2O8 (PBE, optimized geometry)
# - Symmetry: No. 62
# - Calculated formation energy: -1.76 eV/atom
data_K2NaH5C2O8
_cell_length_a 8.005
_cell_length_b 9.423
_cell_length_c 11.612
_cell_angle_alpha 90.00
_cell_angle_beta 90.00
_cell_angle_gamma 90.00
_space_group_name_H-M_alt 'P 1'
_space_group_IT_number 1
loop_
_space_group_symop_operation_xyz
'x,y,z'
loop_
_atom_site_label
_atom_site_type_symbol
_atom_site_fract_x
_atom_site_fract_y
_atom_site_fract_z
Na1 Na 0.250 0.039 0.664
Na2 Na 0.250 0.539 0.836
Na3 Na 0.750 0.961 0.336
Na4 Na 0.750 0.461 0.164
H1 H 0.880 0.465 0.801
H2 H 0.880 0.965 0.699
H3 H 0.250 0.003 0.967
H4 H 0.889 0.100 0.620
H5 H 0.250 0.503 0.533
H6 H 0.120 0.035 0.301
H7 H 0.120 0.535 0.199
H8 H 0.389 0.900 0.380
H9 H 0.380 0.535 0.199
H10 H 0.620 0.465 0.801
H11 H 0.889 0.600 0.880
H12 H 0.111 0.900 0.380
H13 H 0.750 0.497 0.467
H14 H 0.750 0.997 0.033
H15 H 0.380 0.035 0.301
H16 H 0.611 0.600 0.880
H17 H 0.111 0.400 0.120
H18 H 0.389 0.400 0.120
H19 H 0.620 0.965 0.699
H20 H 0.611 0.100 0.620
O1 O 0.750 0.476 0.587
O2 O 0.250 0.762 0.439
O3 O 0.750 0.200 0.249
O4 O 0.250 0.300 0.749
O5 O 0.541 0.028 0.657
O6 O 0.750 0.738 0.939
O7 O 0.250 0.481 0.624
O8 O 0.250 0.024 0.087
O9 O 0.250 0.524 0.413
O10 O 0.750 0.238 0.561
O11 O 0.041 0.472 0.157
O12 O 0.750 0.019 0.124
O13 O 0.459 0.472 0.157
O14 O 0.541 0.528 0.843
O15 O 0.750 0.833 0.760
O16 O 0.250 0.167 0.240
O17 O 0.250 0.755 0.943
O18 O 0.250 0.981 0.876
O19 O 0.959 0.028 0.657
O20 O 0.750 0.333 0.740
O21 O 0.750 0.245 0.057
O22 O 0.250 0.667 0.260
O23 O 0.250 0.262 0.061
O24 O 0.041 0.972 0.343
O25 O 0.959 0.528 0.843
O26 O 0.250 0.255 0.557
O27 O 0.459 0.972 0.343
O28 O 0.750 0.976 0.913
O29 O 0.750 0.745 0.443
O30 O 0.750 0.700 0.251
O31 O 0.750 0.519 0.376
O32 O 0.250 0.800 0.751
K1 K 0.488 0.299 0.383
K2 K 0.512 0.701 0.617
K3 K 0.488 0.799 0.117
K4 K 0.988 0.201 0.883
K5 K 0.012 0.799 0.117
K6 K 0.012 0.299 0.383
K7 K 0.512 0.201 0.883
K8 K 0.988 0.701 0.617
C1 C 0.250 0.653 0.371
C2 C 0.250 0.838 0.857
C3 C 0.750 0.162 0.143
C4 C 0.750 0.662 0.357
C5 C 0.750 0.847 0.871
C6 C 0.250 0.338 0.643
C7 C 0.250 0.153 0.129
C8 C 0.750 0.347 0.629